Material: K2RbAsCl6
Method: DFT, GGA-PBE
State: relaxed

Cell and atoms, written as POSCAR:
```
K2RbAsCl6
1.0
0.000 5.583 5.583
5.583 0.000 5.583
5.583 5.583 0.000
K Rb As Cl
2 1 1 6
direct
0.250 0.250 0.250
0.750 0.750 0.750
0.000 0.000 0.000
0.500 0.500 0.500
0.276 0.276 0.724
0.276 0.724 0.276
0.276 0.724 0.724
0.724 0.276 0.276
0.724 0.276 0.724
0.724 0.724 0.276
```

- electronic total energy (eV/atom) = -3.269
- energy relative to the elements (meV/atom) = -1742
- corrected total energy (MP2020 scheme) (hartree per atom) = -0.13368
- space group = Fm-3m (225)
- volume (Å³/cell) = 348.0

---

Material: As4S11N12Cl14
Method: DFT, GGA-PBE
State: relaxed

Cell and atoms, written as POSCAR:
```
As4S11N12Cl14
1.0
16.725 0.000 0.000
0.000 16.725 0.000
0.000 0.000 16.374
As S N Cl
16 44 48 56
direct
0.020 0.120 0.100
0.105 0.719 0.916
0.120 0.980 0.900
0.219 0.605 0.416
0.281 0.105 0.084
0.380 0.480 0.600
0.395 0.219 0.584
0.480 0.620 0.400
0.520 0.380 0.400
0.605 0.781 0.584
0.620 0.520 0.600
0.719 0.895 0.084
0.781 0.395 0.416
0.880 0.020 0.900
0.895 0.281 0.916
0.980 0.880 0.100
0.000 0.000 0.409
0.000 0.000 0.591
0.036 0.395 0.187
0.046 0.307 0.608
0.052 0.304 0.349
0.105 0.464 0.687
0.114 0.197 0.736
0.193 0.274 0.872
0.193 0.454 0.108
0.196 0.448 0.849
0.197 0.886 0.264
0.226 0.307 0.372
0.274 0.807 0.128
0.303 0.386 0.236
0.304 0.948 0.651
0.307 0.774 0.628
0.307 0.954 0.392
0.386 0.697 0.764
0.395 0.964 0.813
0.448 0.804 0.151
0.454 0.807 0.892
0.464 0.895 0.313
0.500 0.500 0.091
0.500 0.500 0.909
0.536 0.105 0.313
0.546 0.193 0.892
0.552 0.196 0.151
0.605 0.036 0.813
0.614 0.303 0.764
0.693 0.046 0.392
0.693 0.226 0.628
0.696 0.052 0.651
0.697 0.614 0.236
0.726 0.193 0.128
0.774 0.693 0.372
0.803 0.114 0.264
0.804 0.552 0.849
0.807 0.546 0.108
0.807 0.726 0.872
0.886 0.803 0.736
0.895 0.536 0.687
0.948 0.696 0.349
0.954 0.693 0.608
0.964 0.605 0.187
0.054 0.931 0.589
0.056 0.351 0.267
0.067 0.393 0.639
0.069 0.054 0.411
0.072 0.230 0.657
0.107 0.433 0.139
0.135 0.289 0.392
0.148 0.270 0.787
0.149 0.444 0.767
0.211 0.365 0.892
0.230 0.352 0.287
0.230 0.928 0.343
0.270 0.428 0.157
0.270 0.852 0.213
0.289 0.865 0.608
0.351 0.944 0.733
0.352 0.770 0.713
0.365 0.789 0.108
0.393 0.933 0.361
0.428 0.730 0.843
0.431 0.554 0.089
0.433 0.893 0.861
0.444 0.851 0.233
0.446 0.431 0.911
0.554 0.569 0.911
0.556 0.149 0.233
0.567 0.107 0.861
0.569 0.446 0.089
0.572 0.270 0.843
0.607 0.067 0.361
0.635 0.211 0.108
0.648 0.230 0.713
0.649 0.056 0.733
0.711 0.135 0.608
0.730 0.148 0.213
0.730 0.572 0.157
0.770 0.072 0.343
0.770 0.648 0.287
0.789 0.635 0.892
0.851 0.556 0.767
0.852 0.730 0.787
0.865 0.711 0.392
0.893 0.567 0.139
0.928 0.770 0.657
0.931 0.946 0.411
0.933 0.607 0.639
0.944 0.649 0.267
0.946 0.069 0.589
0.008 0.115 0.914
0.023 0.614 0.937
0.030 0.113 0.238
0.076 0.773 0.105
0.113 0.970 0.762
0.114 0.523 0.437
0.115 0.992 0.086
0.119 0.700 0.780
0.127 0.208 0.086
0.157 0.718 0.455
0.200 0.619 0.280
0.208 0.873 0.914
0.218 0.657 0.955
0.227 0.076 0.895
0.273 0.576 0.605
0.282 0.157 0.545
0.292 0.373 0.586
0.300 0.119 0.220
0.343 0.218 0.045
0.373 0.708 0.414
0.381 0.200 0.720
0.385 0.492 0.414
0.386 0.023 0.063
0.387 0.470 0.738
0.424 0.273 0.395
0.470 0.613 0.262
0.477 0.114 0.563
0.492 0.615 0.586
0.508 0.385 0.586
0.523 0.886 0.563
0.530 0.387 0.262
0.576 0.727 0.395
0.613 0.530 0.738
0.614 0.977 0.063
0.615 0.508 0.414
0.619 0.800 0.720
0.627 0.292 0.414
0.657 0.782 0.045
0.700 0.881 0.220
0.708 0.627 0.586
0.718 0.843 0.545
0.727 0.424 0.605
0.773 0.924 0.895
0.782 0.343 0.955
0.792 0.127 0.914
0.800 0.381 0.280
0.843 0.282 0.455
0.873 0.792 0.086
0.881 0.300 0.780
0.885 0.008 0.086
0.886 0.477 0.437
0.887 0.030 0.762
0.924 0.227 0.105
0.970 0.887 0.238
0.977 0.386 0.937
0.992 0.885 0.914
```

- electronic total energy (eV/atom) = -4.571
- energy relative to the elements (meV/atom) = -145
- corrected total energy (MP2020 scheme) (hartree per atom) = -0.17570
- space group = P-42_1c (114)
- volume (Å³/cell) = 4580.4

---

Material: Na3AsCl6
Method: DFT, GGA-PBE
State: relaxed

Cell and atoms, written as POSCAR:
```
Na3AsCl6
1.0
0.000 5.179 5.179
5.179 0.000 5.179
5.179 5.179 0.000
Na As Cl
3 1 6
direct
0.000 0.000 0.000
0.250 0.250 0.250
0.750 0.750 0.750
0.500 0.500 0.500
0.260 0.260 0.740
0.260 0.740 0.260
0.260 0.740 0.740
0.740 0.260 0.260
0.740 0.260 0.740
0.740 0.740 0.260
```

- electronic total energy (eV/atom) = -3.175
- energy relative to the elements (meV/atom) = -1571
- corrected total energy (MP2020 scheme) (hartree per atom) = -0.13021
- space group = Fm-3m (225)
- volume (Å³/cell) = 277.8

---

Material: Rb2NaAsCl6
Method: DFT, GGA-PBE
State: relaxed

Cell and atoms, written as POSCAR:
```
Rb2NaAsCl6
1.0
0.000 5.280 5.280
5.280 0.000 5.280
5.280 5.280 0.000
Rb Na As Cl
2 1 1 6
direct
0.250 0.250 0.250
0.750 0.750 0.750
0.000 0.000 0.000
0.500 0.500 0.500
0.262 0.262 0.738
0.262 0.738 0.262
0.262 0.738 0.738
0.738 0.262 0.262
0.738 0.262 0.738
0.738 0.738 0.262
```

- electronic total energy (eV/atom) = -3.330
- energy relative to the elements (meV/atom) = -1795
- corrected total energy (MP2020 scheme) (hartree per atom) = -0.13592
- space group = Fm-3m (225)
- volume (Å³/cell) = 294.4

---

> Which value of energy relative to the elements does entry 4 give?

-1795 meV/atom